Here is a relaxed structure of Ba3SnP3 from Materials Project. Energies are from PBE.

Results
The calculation puts the volume at 227.8 Å³/f.u. The crystal system is monoclinic. The calculation puts the calculated formation energy at -20.17 kcal/mol of atoms. The space group is P2_1/c.

Cell lengths 12.8693, 8.7039, 8.9246 Å; angles 65.73, 90.00, 90.00 degrees
Last column: nearest neighbours and their distance in Å.
Atoms (fractional coordinates):
Sn: 0.4938 0.3614 0.1656  3 P 2.52-2.57
Sn: 0.9938 0.1386 0.8344  3 P 2.52-2.57
Sn: 0.0062 0.8614 0.1656  3 P 2.52-2.57
Sn: 0.5062 0.6386 0.8344  3 P 2.52-2.57
P: 0.8677 0.9335 0.3329  1 Sn 2.56
P: 0.3030 0.3754 0.2442  1 Sn 2.57
P: 0.6970 0.6246 0.7558  1 Sn 2.57
P: 0.3677 0.5665 0.6671  1 Sn 2.56
P: 0.5309 0.0806 0.1585  1 Sn 2.52
P: 0.1323 0.0665 0.6671  1 Sn 2.56
P: 0.9691 0.5806 0.1585  1 Sn 2.52
P: 0.6323 0.4335 0.3329  1 Sn 2.56
P: 0.4691 0.9194 0.8415  1 Sn 2.52
P: 0.8030 0.1246 0.7558  1 Sn 2.57
P: 0.1970 0.8754 0.2442  1 Sn 2.57
P: 0.0309 0.4194 0.8415  1 Sn 2.52
Ba: 0.6656 0.0080 0.4983  5 P 3.19-3.40
Ba: 0.2937 0.1780 0.9424  3 P 3.15-3.52
Ba: 0.2063 0.6780 0.9424  3 P 3.15-3.52
Ba: 0.5694 0.2989 0.7305  6 P 3.30-3.53, 1 Sn 3.54
Ba: 0.7937 0.3220 0.0576  3 P 3.15-3.52
Ba: 0.8344 0.5080 0.4983  5 P 3.19-3.40
Ba: 0.9306 0.7989 0.7305  6 P 3.30-3.53, 1 Sn 3.54
Ba: 0.3344 0.9920 0.5017  5 P 3.19-3.40
Ba: 0.1656 0.4920 0.5017  5 P 3.19-3.40
Ba: 0.7063 0.8220 0.0576  3 P 3.15-3.52
Ba: 0.0694 0.2011 0.2695  6 P 3.30-3.53, 1 Sn 3.54
Ba: 0.4306 0.7011 0.2695  6 P 3.30-3.53, 1 Sn 3.54